Al9Fe2 after structural relaxation, computed with PBE.

## Properties
As for the crystal system: monoclinic. The formation enthalpy at 0 K comes out at -0.235 eV/atom.

Cell lengths 6.110, 6.308, 8.680 Å; angles 90.00, 95.19, 90.00 degrees
Atoms (fractional coordinates):
Fe1 0.264 0.882 0.835
Al1 0.416 0.547 0.768
Fe2 0.736 0.382 0.665
Al2 0.416 0.953 0.268
Al3 0.390 0.313 0.496
Al4 0.584 0.047 0.732
Al5 0.780 0.382 0.954
Al6 0.390 0.187 0.996
Al7 0.921 0.699 0.773
Al8 0.610 0.813 0.004
Fe3 0.736 0.118 0.165
Al9 0.220 0.618 0.046
Al10 0.921 0.801 0.273
Al11 0.610 0.687 0.504
Al12 0.079 0.199 0.727
Al13 0.780 0.118 0.454
Al14 0.079 0.301 0.227
Al15 0.584 0.453 0.232
Fe4 0.264 0.618 0.335
Al16 0.000 0.000 0.000
Al17 0.220 0.882 0.546
Al18 0.000 0.500 0.500

=====

ZnFe2Cu6Sn3S12 after structural relaxation, computed with PBE.

## Properties
As for the crystal system: tetragonal. The formation enthalpy at 0 K comes out at -0.621 eV/atom.

Cell lengths 16.804, 16.804, 16.804 Å; angles 161.43, 161.43, 26.38 degrees
Atoms (fractional coordinates):
S1 0.550 0.022 0.992
S2 0.978 0.970 0.528
Sn1 0.333 0.333 0.000
S3 0.358 0.884 0.996
Cu1 0.167 0.167 0.000
Sn2 0.667 0.667 0.000
Fe1 0.417 0.917 0.500
Cu2 0.250 0.750 0.500
S4 0.116 0.112 0.474
Cu3 0.500 0.500 0.000
Cu4 0.583 0.083 0.500
S5 0.639 0.642 0.526
Cu5 0.833 0.833 0.000
S6 0.888 0.361 0.004
S7 0.307 0.310 0.529
Zn1 0.750 0.250 0.500
S8 0.690 0.219 0.997
Sn3 0.000 0.000 0.000
Cu6 0.917 0.417 0.500
S9 0.781 0.778 0.471
Fe2 0.083 0.583 0.500
S10 0.442 0.450 0.472
S11 0.222 0.693 0.003
S12 0.030 0.558 0.008

=====

PbO after structural relaxation, computed with PBE.

## Properties
As for the crystal system: orthorhombic. The formation enthalpy at 0 K comes out at -1.449 eV/atom. The largest piezoelectric modulus is 1.05 C/m².

Cell lengths 5.452, 5.791, 5.955 Å; angles 90.00, 90.00, 90.00 degrees
Atoms (fractional coordinates):
Pb1 0.252 0.526 0.721
O1 0.367 0.884 0.616
Pb2 0.252 0.026 0.279
O2 0.367 0.384 0.384
Pb3 0.752 0.474 0.279
O3 0.867 0.116 0.384
Pb4 0.752 0.974 0.721
O4 0.867 0.616 0.616

=====

MgB12C2 after structural relaxation, computed with PBE.

## Properties
As for the crystal system: orthorhombic. The formation enthalpy at 0 K comes out at -0.168 eV/atom.

Cell lengths 6.910, 6.910, 6.910 Å; angles 132.05, 109.90, 89.41 degrees
Atoms (fractional coordinates):
B1 0.225 0.406 0.818
B2 0.033 0.824 0.687
C1 0.033 0.662 0.371
B3 0.812 0.833 0.979
B4 0.776 0.098 0.001
B5 0.597 0.598 0.322
B6 0.776 0.775 0.678
B7 0.637 0.846 0.313
B8 0.967 0.654 0.791
B9 0.363 0.676 0.209
B10 0.637 0.324 0.791
Mg1 0.389 0.750 0.639
B11 0.403 0.402 0.678
C2 0.792 0.162 0.629
B12 0.188 0.167 0.021
B13 0.646 0.667 0.979
B14 0.597 0.275 0.999
B15 0.403 0.725 0.001
B16 0.775 0.594 0.182
B17 0.224 0.225 0.322
B18 0.354 0.333 0.021
B19 0.088 0.906 0.182
B20 0.912 0.094 0.818
B21 0.363 0.154 0.687
Mg2 0.611 0.250 0.361
C3 0.208 0.838 0.371
B22 0.224 0.902 0.999
C4 0.967 0.338 0.629
B23 0.033 0.346 0.209
B24 0.967 0.176 0.313

=====

Mg14CdNi after structural relaxation, computed with PBE.

## Properties
As for the crystal system: hexagonal. The formation enthalpy at 0 K comes out at 0.002 eV/atom. The excess energy over the best structure of this formula in the dataset comes out at 0.0000 eV per atom.

Cell lengths 6.290, 6.290, 9.872 Å; angles 90.00, 90.00, 120.00 degrees
Atoms (fractional coordinates):
Mg1 0.667 0.833 0.625
Mg2 0.327 0.173 0.366
Mg3 0.833 0.667 0.873
Mg4 0.833 0.667 0.377
Mg5 0.668 0.337 0.125
Mg6 0.667 0.333 0.625
Mg7 0.327 0.655 0.884
Mg8 0.845 0.173 0.366
Cd1 0.167 0.333 0.625
Mg9 0.327 0.655 0.366
Mg10 0.668 0.832 0.125
Mg11 0.163 0.832 0.125
Mg12 0.845 0.173 0.884
Ni1 0.167 0.333 0.125
Mg13 0.327 0.173 0.884
Mg14 0.167 0.833 0.625

=====

Mg7Al after structural relaxation, computed with PBE.

## Properties
As for the crystal system: hexagonal. The formation enthalpy at 0 K comes out at 0.015 eV/atom.

Cell lengths 6.318, 6.318, 5.082 Å; angles 90.00, 90.00, 120.00 degrees
Atoms (fractional coordinates):
Mg1 0.003 0.501 0.500
Mg2 0.000 0.000 0.500
Mg3 0.499 0.501 0.500
Mg4 0.834 0.166 0.000
Mg5 0.499 0.997 0.500
Al1 0.333 0.667 0.000
Mg6 0.834 0.667 0.000
Mg7 0.333 0.166 0.000

=====

Ni after structural relaxation, computed with PBE.

## Properties
As for the crystal system: cubic. The formation enthalpy at 0 K comes out at 0.096 eV/atom. The excess energy over the best structure of this formula in the dataset comes out at 0.0956 eV per atom.

Cell lengths 2.416, 2.416, 2.416 Å; angles 109.47, 109.47, 109.47 degrees
Atoms (fractional coordinates):
Ni1 0.000 0.000 0.000

=====

CdPt3 after structural relaxation, computed with PBE.

## Properties
As for the crystal system: cubic. The formation enthalpy at 0 K comes out at -0.165 eV/atom.

Cell lengths 4.049, 4.049, 4.049 Å; angles 90.00, 90.00, 90.00 degrees
Atoms (fractional coordinates):
Pt1 0.000 0.500 0.500
Pt2 0.500 0.500 0.000
Pt3 0.500 0.000 0.500
Cd1 0.000 0.000 0.000

=====

Ag after structural relaxation, computed with PBE.

## Properties
As for the crystal system: cubic. The formation enthalpy at 0 K comes out at 0.034 eV/atom. The excess energy over the best structure of this formula in the dataset comes out at 0.0343 eV per atom.

Cell lengths 2.868, 2.868, 2.868 Å; angles 109.47, 109.47, 109.47 degrees
Atoms (fractional coordinates):
Ag1 0.000 0.000 0.000

=====

CdGeO3 after structural relaxation, computed with PBE.

## Properties
As for the crystal system: monoclinic. The formation enthalpy at 0 K comes out at -1.864 eV/atom.

Cell lengths 7.164, 7.164, 5.485 Å; angles 80.62, 80.62, 87.17 degrees
Atoms (fractional coordinates):
O1 0.144 0.607 0.630
O2 0.596 0.700 0.442
O3 0.300 0.404 0.058
O4 0.972 0.786 0.153
O5 0.700 0.596 0.942
Cd1 0.712 0.288 0.750
O6 0.856 0.393 0.370
O7 0.214 0.028 0.347
Ge1 0.383 0.207 0.273
Cd2 0.902 0.098 0.250
O8 0.393 0.856 0.870
Ge2 0.793 0.617 0.227
Cd3 0.098 0.902 0.750
Ge3 0.207 0.383 0.773
O9 0.786 0.972 0.653
Cd4 0.288 0.712 0.250
O10 0.404 0.300 0.558
O11 0.607 0.144 0.130
Ge4 0.617 0.793 0.727
O12 0.028 0.214 0.847

=====

Rb4MgH12Se8O24 after structural relaxation, computed with PBE.

## Properties
As for the crystal system: triclinic. The formation enthalpy at 0 K comes out at -1.325 eV/atom. The excess energy over the best structure of this formula in the dataset comes out at 0.0768 eV per atom.

Cell lengths 6.261, 6.294, 22.018 Å; angles 90.17, 90.95, 90.18 degrees
Atoms (fractional coordinates):
O1 0.007 0.666 0.399
O2 0.270 0.824 0.322
Mg1 0.232 0.644 0.998
O3 0.761 0.196 0.179
O4 0.019 0.681 0.229
Rb1 0.719 0.772 0.880
O5 0.872 0.518 0.578
O6 0.184 0.039 0.095
O7 0.033 0.694 0.783
O8 0.538 0.329 0.713
Se1 0.759 0.175 0.744
O9 0.116 0.465 0.066
Se2 0.232 0.841 0.246
Se3 0.728 0.178 0.256
H1 0.798 0.948 0.449
Rb2 0.770 0.771 0.121
O10 0.620 0.517 0.422
O11 0.369 0.467 0.932
O12 0.692 0.950 0.416
Se4 0.260 0.840 0.755
H2 0.979 0.467 0.262
H3 0.013 0.550 0.760
O13 0.471 0.679 0.771
O14 0.516 0.335 0.271
H4 0.102 0.729 0.365
H5 0.597 0.285 0.136
H6 0.391 0.730 0.635
O15 0.486 0.668 0.601
O16 0.954 0.328 0.286
Rb3 0.280 0.253 0.382
O17 0.499 0.346 0.101
Se5 0.259 0.310 0.878
H7 0.512 0.467 0.738
H8 0.248 0.998 0.948
Rb4 0.207 0.251 0.618
O18 0.804 0.951 0.586
O19 0.457 0.695 0.217
H9 0.698 0.951 0.552
Se6 0.730 0.689 0.377
O20 0.222 0.823 0.678
H10 0.220 0.997 0.050
O21 0.977 0.328 0.730
O22 0.722 0.193 0.820
H11 0.479 0.553 0.240
H12 0.886 0.287 0.862
O23 0.986 0.352 0.897
Se7 0.226 0.309 0.120
Se8 0.762 0.690 0.624
O24 0.294 0.040 0.904

=====

NdAg2 after structural relaxation, computed with PBE.

## Properties
As for the crystal system: orthorhombic. The formation enthalpy at 0 K comes out at -0.280 eV/atom.

Cell lengths 6.012, 6.012, 6.012 Å; angles 133.01, 105.62, 92.79 degrees
Atoms (fractional coordinates):
Nd1 0.285 0.035 0.250
Ag1 0.127 0.665 0.462
Ag2 0.873 0.335 0.538
Ag3 0.703 0.665 0.038
Nd2 0.715 0.965 0.750
Ag4 0.297 0.335 0.962

=====

Repeat the ninth record exactly.
Ag after structural relaxation, computed with PBE.

## Properties
As for the crystal system: cubic. The formation enthalpy at 0 K comes out at 0.034 eV/atom. The excess energy over the best structure of this formula in the dataset comes out at 0.0343 eV per atom.

Cell lengths 2.868, 2.868, 2.868 Å; angles 109.47, 109.47, 109.47 degrees
Atoms (fractional coordinates):
Ag1 0.000 0.000 0.000

=====

The highest formation enthalpy at 0 K belongs to which entry? Ni

=====

Repeat the second record exactly.
ZnFe2Cu6Sn3S12 after structural relaxation, computed with PBE.

## Properties
As for the crystal system: tetragonal. The formation enthalpy at 0 K comes out at -0.621 eV/atom.

Cell lengths 16.804, 16.804, 16.804 Å; angles 161.43, 161.43, 26.38 degrees
Atoms (fractional coordinates):
S1 0.550 0.022 0.992
S2 0.978 0.970 0.528
Sn1 0.333 0.333 0.000
S3 0.358 0.884 0.996
Cu1 0.167 0.167 0.000
Sn2 0.667 0.667 0.000
Fe1 0.417 0.917 0.500
Cu2 0.250 0.750 0.500
S4 0.116 0.112 0.474
Cu3 0.500 0.500 0.000
Cu4 0.583 0.083 0.500
S5 0.639 0.642 0.526
Cu5 0.833 0.833 0.000
S6 0.888 0.361 0.004
S7 0.307 0.310 0.529
Zn1 0.750 0.250 0.500
S8 0.690 0.219 0.997
Sn3 0.000 0.000 0.000
Cu6 0.917 0.417 0.500
S9 0.781 0.778 0.471
Fe2 0.083 0.583 0.500
S10 0.442 0.450 0.472
S11 0.222 0.693 0.003
S12 0.030 0.558 0.008